This record from the Materials Project describes a relaxed structure of Fe2O3. The functional is PBE with a Hubbard U.

Formation energy = -0.85 eV per atom
Symmetry = Pm-3m (221)

a = 3.7885 Å, b = 3.7885 Å, c = 3.7885 Å
α = 90.00°, β = 90.00°, γ = 90.00°
Atoms (fractional coordinates):
Fe: 0.0000 0.0000 0.0000
Fe: 0.5000 0.5000 0.5000
O: 0.0000 0.0000 0.5000
O: 0.0000 0.5000 0.0000
O: 0.5000 0.0000 0.0000